1.
! SrCaMnNbO6 PBE+U optimized geometry; values from VASP
! - symmetry = No. 216
&SYSTEM
  ibrav = 0, nat = 10, ntyp = 5
/
ATOMIC_SPECIES
Sr 87.62 Sr.upf
Ca 40.08 Ca.upf
Mn 54.94 Mn.upf
Nb 92.91 Nb.upf
O 16.00 O.upf
ATOMIC_POSITIONS crystal
Sr 0.250 0.250 0.250
Ca 0.750 0.750 0.750
Mn 0.000 0.000 0.000
Nb 0.500 0.500 0.500
O 0.749 0.251 0.251
O 0.251 0.749 0.749
O 0.749 0.251 0.749
O 0.251 0.749 0.251
O 0.749 0.749 0.251
O 0.251 0.251 0.749
CELL_PARAMETERS angstrom
-1.304 5.391 1.137
0.913 4.014 -3.887
-4.380 2.464 -2.608

---

2.
! Ca2Nd2MnNiO8 PBE+U optimized geometry; values from VASP
! - symmetry = No. 67
&SYSTEM
  ibrav = 0, nat = 28, ntyp = 5
/
ATOMIC_SPECIES
Ca 40.08 Ca.upf
Nd 144.24 Nd.upf
Mn 54.94 Mn.upf
Ni 58.69 Ni.upf
O 16.00 O.upf
ATOMIC_POSITIONS crystal
Ca 0.486 0.514 0.864
Ca 0.014 0.986 0.864
Ca 0.514 0.486 0.136
Ca 0.986 0.014 0.136
Nd 0.984 0.484 0.645
Nd 0.516 0.016 0.645
Nd 0.016 0.516 0.355
Nd 0.484 0.984 0.355
Mn 0.000 0.500 0.000
Mn 0.500 0.000 0.000
Ni 0.500 0.500 0.500
Ni 0.000 0.000 0.500
O 0.545 0.455 0.678
O 0.955 0.045 0.678
O 0.037 0.537 0.836
O 0.463 0.963 0.836
O 0.455 0.545 0.322
O 0.045 0.955 0.322
O 0.963 0.463 0.164
O 0.537 0.037 0.164
O 0.750 0.250 0.474
O 0.250 0.750 0.022
O 0.250 0.750 0.526
O 0.750 0.250 0.978
O 0.750 0.750 0.500
O 0.250 0.250 0.000
O 0.250 0.250 0.500
O 0.750 0.750 0.000
CELL_PARAMETERS angstrom
-5.118 0.122 -1.939
0.444 -5.249 -1.490
-4.125 -3.378 10.673

---

3.
! CaNdMn2O6 PBE+U optimized geometry; values from VASP
! - symmetry = No. 26
! - relative energy among the computed polymorphs (meV per atom) = 6
&SYSTEM
  ibrav = 0, nat = 60, ntyp = 4
/
ATOMIC_SPECIES
Ca 40.08 Ca.upf
Nd 144.24 Nd.upf
Mn 54.94 Mn.upf
O 16.00 O.upf
ATOMIC_POSITIONS crystal
Ca 0.167 0.538 0.750
Ca 0.336 0.958 0.250
Ca 0.505 0.544 0.750
Ca 0.661 0.044 0.750
Ca 0.830 0.458 0.250
Ca 0.000 0.038 0.750
Nd 0.999 0.968 0.250
Nd 0.168 0.468 0.250
Nd 0.331 0.033 0.750
Nd 0.494 0.461 0.250
Nd 0.672 0.961 0.250
Nd 0.835 0.533 0.750
Mn 0.000 0.499 0.997
Mn 0.000 0.499 0.503
Mn 0.167 0.999 0.503
Mn 0.167 0.999 0.997
Mn 0.334 0.501 0.503
Mn 0.334 0.501 0.997
Mn 0.501 0.999 0.997
Mn 0.501 0.999 0.503
Mn 0.666 0.499 0.503
Mn 0.666 0.499 0.997
Mn 0.833 0.001 0.997
Mn 0.833 0.001 0.503
O 0.023 0.481 0.750
O 0.074 0.223 0.042
O 0.074 0.223 0.458
O 0.092 0.723 0.042
O 0.092 0.723 0.458
O 0.144 0.981 0.750
O 0.191 0.010 0.250
O 0.238 0.286 0.540
O 0.238 0.286 0.960
O 0.260 0.779 0.535
O 0.260 0.779 0.965
O 0.315 0.515 0.250
O 0.359 0.488 0.750
O 0.404 0.210 0.037
O 0.404 0.210 0.463
O 0.428 0.718 0.031
O 0.428 0.718 0.469
O 0.479 0.984 0.750
O 0.523 0.007 0.250
O 0.569 0.292 0.532
O 0.569 0.292 0.968
O 0.598 0.792 0.532
O 0.598 0.792 0.968
O 0.644 0.507 0.250
O 0.688 0.484 0.750
O 0.738 0.218 0.031
O 0.738 0.218 0.469
O 0.763 0.710 0.037
O 0.763 0.710 0.463
O 0.807 0.988 0.750
O 0.851 0.015 0.250
O 0.907 0.279 0.535
O 0.907 0.279 0.965
O 0.928 0.786 0.540
O 0.928 0.786 0.960
O 0.976 0.510 0.250
CELL_PARAMETERS angstrom
16.297 0.000 0.000
0.000 5.474 0.000
0.000 0.000 7.703

---

4.
! CaNdMn2O6 PBE+U optimized geometry; values from VASP
! - symmetry = No. 6
! - relative energy among the computed polymorphs (meV per atom) = 5
&SYSTEM
  ibrav = 0, nat = 60, ntyp = 4
/
ATOMIC_SPECIES
Ca 40.08 Ca.upf
Nd 144.24 Nd.upf
Mn 54.94 Mn.upf
O 16.00 O.upf
ATOMIC_POSITIONS crystal
Ca 0.014 0.453 0.250
Ca 0.322 0.542 0.750
Ca 0.644 0.052 0.750
Ca 0.352 0.953 0.250
Ca 0.674 0.464 0.250
Ca 0.989 0.035 0.750
Nd 0.321 0.028 0.750
Nd 0.007 0.975 0.250
Nd 0.342 0.468 0.250
Nd 0.660 0.531 0.750
Nd 0.685 0.962 0.250
Nd 0.988 0.537 0.750
Mn 0.167 0.000 0.499
Mn 0.167 0.000 0.001
Mn 0.167 0.500 0.500
Mn 0.167 0.500 0.000
Mn 0.500 0.000 0.001
Mn 0.500 0.000 0.499
Mn 0.500 0.500 0.000
Mn 0.500 0.500 0.500
Mn 0.832 0.002 0.998
Mn 0.832 0.002 0.502
Mn 0.834 0.499 0.499
Mn 0.834 0.499 0.001
O 0.188 0.007 0.250
O 0.147 0.280 0.541
O 0.147 0.280 0.959
O 0.999 0.785 0.541
O 0.999 0.785 0.959
O 0.134 0.523 0.250
O 0.199 0.479 0.750
O 0.333 0.213 0.041
O 0.333 0.213 0.459
O 0.184 0.722 0.040
O 0.184 0.722 0.460
O 0.149 0.990 0.750
O 0.519 0.017 0.250
O 0.473 0.289 0.535
O 0.473 0.289 0.965
O 0.333 0.780 0.970
O 0.333 0.780 0.530
O 0.479 0.501 0.250
O 0.521 0.502 0.750
O 0.666 0.217 0.029
O 0.666 0.217 0.471
O 0.526 0.713 0.033
O 0.526 0.713 0.467
O 0.484 0.982 0.750
O 0.845 0.020 0.250
O 0.814 0.279 0.533
O 0.814 0.279 0.967
O 0.667 0.788 0.538
O 0.667 0.788 0.962
O 0.805 0.509 0.250
O 0.860 0.480 0.750
O 0.000 0.221 0.036
O 0.000 0.221 0.464
O 0.859 0.712 0.039
O 0.859 0.712 0.461
O 0.810 0.990 0.750
CELL_PARAMETERS angstrom
16.329 -0.026 0.000
5.434 5.474 0.000
0.000 0.000 7.674

---

5.
! CaNdMn4O12 PBE+U optimized geometry; values from VASP
! - symmetry = No. 38
&SYSTEM
  ibrav = 0, nat = 18, ntyp = 4
/
ATOMIC_SPECIES
Ca 40.08 Ca.upf
Nd 144.24 Nd.upf
Mn 54.94 Mn.upf
O 16.00 O.upf
ATOMIC_POSITIONS crystal
Ca 0.510 0.510 0.000
Nd 0.982 0.982 0.500
Mn 0.495 0.002 0.755
Mn 0.495 0.002 0.245
Mn 0.002 0.495 0.245
Mn 0.002 0.495 0.755
O 0.714 0.287 0.745
O 0.287 0.714 0.745
O 0.287 0.714 0.255
O 0.714 0.287 0.255
O 0.789 0.789 0.785
O 0.213 0.213 0.705
O 0.213 0.213 0.295
O 0.789 0.789 0.215
O 0.450 0.060 0.000
O 0.537 0.962 0.500
O 0.060 0.450 0.000
O 0.962 0.537 0.500
CELL_PARAMETERS angstrom
0.000 3.726 3.827
0.000 -3.726 3.827
7.557 0.000 0.000

---

6.
! Ca3NdMn2O8 PBE+U optimized geometry; values from VASP
! - symmetry = No. 99
&SYSTEM
  ibrav = 0, nat = 14, ntyp = 4
/
ATOMIC_SPECIES
Ca 40.08 Ca.upf
Nd 144.24 Nd.upf
Mn 54.94 Mn.upf
O 16.00 O.upf
ATOMIC_POSITIONS crystal
Ca 0.500 0.500 0.859
Ca 0.500 0.500 0.135
Ca 0.000 0.000 0.650
Nd 0.000 0.000 0.357
Mn 0.000 0.000 0.998
Mn 0.500 0.500 0.506
O 0.000 0.500 0.001
O 0.500 0.000 0.495
O 0.500 0.000 0.001
O 0.000 0.500 0.495
O 0.500 0.500 0.332
O 0.000 0.000 0.835
O 0.000 0.000 0.168
O 0.500 0.500 0.666
CELL_PARAMETERS angstrom
-2.311 1.993 2.360
0.397 -2.732 2.695
9.436 5.719 4.407

---

E_tot, record by record: -75.996, -197.033, -448.669, -448.727, -122.421, -100.142 eV for the cell shown
Calculated formation energy, record by record: -2.91, -2.87, -2.75, -2.75, -1.92, -2.88 eV per atom